(1)
## LiNiPO4 (PBE+U)

Data for LiNiPO4 after structural relaxation.

a = 5.5600 Å, b = 7.9303 Å, c = 5.7896 Å
α = 90.00°, β = 90.00°, γ = 90.00°
Element x y z (fractional)
Li: 0.0000 0.0000 0.0000
Li: 0.5000 0.5000 0.5000
Li: 0.5000 0.0000 0.0000
Li: 0.0000 0.5000 0.5000
Ni: 0.2500 0.7500 0.7500
Ni: 0.2500 0.7500 0.2500
Ni: 0.7500 0.2500 0.2500
Ni: 0.7500 0.2500 0.7500
P: 0.2500 0.1203 0.5000
P: 0.7500 0.6203 0.0000
P: 0.2500 0.3797 0.0000
P: 0.7500 0.8797 0.5000
O: 0.2500 0.0116 0.2770
O: 0.7500 0.5116 0.7770
O: 0.2500 0.4884 0.7770
O: 0.7500 0.9884 0.2770
O: 0.2500 0.0116 0.7230
O: 0.7500 0.5116 0.2230
O: 0.2500 0.4884 0.2230
O: 0.7500 0.9884 0.7230
O: 0.0209 0.2394 0.5000
O: 0.5208 0.7394 0.0000
O: 0.4791 0.2394 0.5000
O: 0.9792 0.7394 0.0000
O: 0.0209 0.2606 0.0000
O: 0.5208 0.7606 0.5000
O: 0.4791 0.2606 0.0000
O: 0.9792 0.7606 0.5000

**ΔE_f**: -2286 meV per atom
**Distance to the lowest polymorph of the same formula**: 79 meV/atom
**Size of the total moment**: 0.00 Bohr magnetons per cell
**Total DFT energy (no corrections)**: -0.229 Ha/atom

=====

(2)
## LiNiPO4 (PBE+U)

Data for LiNiPO4 after structural relaxation.

a = 8.5558 Å, b = 7.6729 Å, c = 17.0464 Å
α = 90.00°, β = 119.85°, γ = 90.00°
Element x y z (fractional)
Li: 0.0616 0.2483 0.0956
Li: 0.0616 0.2517 0.5956
Li: 0.3247 0.2437 0.4347
Li: 0.3247 0.2563 0.9347
Li: 0.3677 0.7220 0.2711
Li: 0.3677 0.7780 0.7711
Li: 0.6323 0.2220 0.2289
Li: 0.6323 0.2780 0.7289
Li: 0.6753 0.7437 0.0653
Li: 0.6753 0.7563 0.5653
Li: 0.9384 0.7483 0.4044
Li: 0.9384 0.7517 0.9044
Ni: 0.0052 0.1684 0.2510
Ni: 0.0052 0.3316 0.7510
Ni: 0.3018 0.5609 0.5574
Ni: 0.3018 0.9391 0.0574
Ni: 0.3637 0.5187 0.1004
Ni: 0.3637 0.9813 0.6004
Ni: 0.6363 0.0187 0.3996
Ni: 0.6363 0.4813 0.8996
Ni: 0.6982 0.0609 0.9426
Ni: 0.6982 0.4391 0.4426
Ni: 0.9948 0.6684 0.2490
Ni: 0.9948 0.8316 0.7490
P: 0.0414 0.6660 0.5911
P: 0.0414 0.8340 0.0911
P: 0.3167 0.6623 0.9259
P: 0.3167 0.8377 0.4259
P: 0.3762 0.1594 0.7791
P: 0.3762 0.3406 0.2791
P: 0.6238 0.6594 0.7209
P: 0.6238 0.8406 0.2209
P: 0.6833 0.1623 0.5741
P: 0.6833 0.3377 0.0741
P: 0.9586 0.1660 0.9089
P: 0.9586 0.3340 0.4089
O: 0.0976 0.7235 0.1781
O: 0.0976 0.7765 0.6781
O: 0.1055 0.7300 0.0333
O: 0.1055 0.7700 0.5333
O: 0.1216 0.7339 0.8642
O: 0.1216 0.7661 0.3642
O: 0.1502 0.0064 0.1173
O: 0.1502 0.4936 0.6173
O: 0.1634 0.1291 0.9597
O: 0.1634 0.3709 0.4597
O: 0.2393 0.2423 0.8030
O: 0.2393 0.2577 0.3030
O: 0.2876 0.1248 0.6762
O: 0.2876 0.3752 0.1762
O: 0.2967 0.0067 0.4702
O: 0.2967 0.4933 0.9702
O: 0.4063 0.6223 0.8685
O: 0.4063 0.8777 0.3685
O: 0.4223 0.7005 0.5006
O: 0.4223 0.7995 0.0006
O: 0.4490 0.5088 0.3353
O: 0.4490 0.9912 0.8353
O: 0.4616 0.7141 0.1887
O: 0.4616 0.7859 0.6887
O: 0.5384 0.2141 0.3113
O: 0.5384 0.2859 0.8113
O: 0.5510 0.0088 0.1647
O: 0.5510 0.4912 0.6647
O: 0.5777 0.2005 0.9994
O: 0.5777 0.2995 0.4994
O: 0.5937 0.1223 0.6315
O: 0.5937 0.3777 0.1315
O: 0.7033 0.5067 0.0298
O: 0.7033 0.9933 0.5298
O: 0.7124 0.6248 0.8238
O: 0.7124 0.8752 0.3238
O: 0.7607 0.7423 0.6970
O: 0.7607 0.7577 0.1970
O: 0.8366 0.6291 0.5403
O: 0.8366 0.8709 0.0403
O: 0.8498 0.5064 0.3827
O: 0.8498 0.9936 0.8827
O: 0.8784 0.2339 0.6358
O: 0.8784 0.2661 0.1358
O: 0.8945 0.2300 0.4667
O: 0.8945 0.2700 0.9667
O: 0.9024 0.2235 0.3219
O: 0.9024 0.2765 0.8219

**ΔE_f**: -2275 meV per atom
**Space group**: P2_1/c
**Distance to the lowest polymorph of the same formula**: 90 meV/atom
**Size of the total moment**: 24.00 Bohr magnetons per cell
**Total DFT energy (no corrections)**: -0.229 Ha/atom

=====

(3)
## LiNiPO4 (PBE+U)

Data for LiNiPO4 after structural relaxation.

a = 9.8519 Å, b = 4.9266 Å, c = 14.0487 Å
α = 90.00°, β = 90.00°, γ = 90.00°
Element x y z (fractional)
Li: 0.0289 0.0677 0.0000
Li: 0.2227 0.4495 0.2503
Li: 0.2773 0.4495 0.7503
Li: 0.4711 0.0677 0.5000
Li: 0.5289 0.9323 0.0000
Li: 0.7227 0.5505 0.2503
Li: 0.7773 0.5505 0.7503
Li: 0.9711 0.9323 0.5000
Ni: 0.0305 0.9502 0.2509
Ni: 0.2244 0.4563 0.5001
Ni: 0.2756 0.4563 0.0001
Ni: 0.4695 0.9502 0.7509
Ni: 0.5305 0.0498 0.2509
Ni: 0.7244 0.5437 0.5001
Ni: 0.7756 0.5437 0.0001
Ni: 0.9695 0.0498 0.7509
P: 0.0288 0.5644 0.8754
P: 0.2137 0.9464 0.6262
P: 0.2863 0.9464 0.1262
P: 0.4712 0.5644 0.3754
P: 0.5288 0.4356 0.8754
P: 0.7137 0.0536 0.6262
P: 0.7863 0.0536 0.1262
P: 0.9712 0.4356 0.3754
O: 0.0002 0.1256 0.3759
O: 0.9998 0.8744 0.8759
O: 0.0340 0.5569 0.4676
O: 0.0353 0.5583 0.2840
O: 0.0594 0.0098 0.6259
O: 0.1831 0.5028 0.8751
O: 0.2203 0.0608 0.2182
O: 0.2254 0.0765 0.0347
O: 0.2396 0.6357 0.6257
O: 0.2604 0.6357 0.1257
O: 0.2746 0.0765 0.5347
O: 0.2797 0.0608 0.7182
O: 0.3169 0.5028 0.3751
O: 0.4406 0.0098 0.1259
O: 0.4647 0.5583 0.7840
O: 0.4660 0.5569 0.9676
O: 0.4998 0.1256 0.8759
O: 0.5002 0.8744 0.3759
O: 0.5340 0.4431 0.4676
O: 0.5353 0.4417 0.2840
O: 0.5594 0.9902 0.6259
O: 0.6831 0.4972 0.8751
O: 0.7203 0.9392 0.2182
O: 0.7254 0.9235 0.0347
O: 0.7396 0.3643 0.6257
O: 0.7604 0.3643 0.1257
O: 0.7746 0.9235 0.5347
O: 0.7797 0.9392 0.7182
O: 0.8169 0.4972 0.3751
O: 0.9406 0.9902 0.1259
O: 0.9647 0.4417 0.7840
O: 0.9660 0.4431 0.9676

**ΔE_f**: -2328 meV per atom
**Space group**: Pca2_1
**Distance to the lowest polymorph of the same formula**: 38 meV/atom
**Size of the total moment**: 16.00 Bohr magnetons per cell
**Total DFT energy (no corrections)**: -0.230 Ha/atom

=====

(4)
## LiNiPO4 (PBE+U)

Data for LiNiPO4 after structural relaxation.

a = 6.8253 Å, b = 8.0472 Å, c = 5.2201 Å
α = 90.00°, β = 90.00°, γ = 90.00°
Element x y z (fractional)
Li: 0.2487 0.0542 0.0000
Li: 0.2513 0.5542 0.5000
Li: 0.7487 0.4458 0.0000
Li: 0.7513 0.9458 0.5000
Ni: 0.0359 0.7445 0.0207
Ni: 0.4641 0.2445 0.5207
Ni: 0.5359 0.7555 0.0207
Ni: 0.9641 0.2555 0.5207
P: 0.2169 0.9085 0.5048
P: 0.2831 0.4085 0.0048
P: 0.7169 0.5915 0.5048
P: 0.7831 0.0915 0.0048
O: 0.0308 0.0134 0.4674
O: 0.1193 0.5156 0.1254
O: 0.1847 0.7555 0.6826
O: 0.2242 0.3362 0.7324
O: 0.2758 0.8362 0.2324
O: 0.3153 0.2555 0.1826
O: 0.3807 0.0156 0.6254
O: 0.4692 0.5134 0.9674
O: 0.5308 0.4866 0.4674
O: 0.6193 0.9844 0.1254
O: 0.6847 0.7445 0.6826
O: 0.7242 0.1638 0.7324
O: 0.7758 0.6638 0.2324
O: 0.8153 0.2445 0.1826
O: 0.8807 0.4844 0.6254
O: 0.9692 0.9866 0.9674

**ΔE_f**: -2290 meV per atom
**Space group**: Pna2_1
**Distance to the lowest polymorph of the same formula**: 75 meV/atom
**Size of the total moment**: 8.00 Bohr magnetons per cell
**Total DFT energy (no corrections)**: -0.229 Ha/atom

=====

(5)
## LiNiP2O7 (PBE+U)

Data for LiNiP2O7 after structural relaxation.

a = 5.0785 Å, b = 13.3288 Å, c = 9.6326 Å
α = 90.00°, β = 120.49°, γ = 90.00°
Element x y z (fractional)
Li: 0.0139 0.1286 0.3602
Li: 0.0139 0.3714 0.8602
Li: 0.9861 0.6286 0.1398
Li: 0.9861 0.8714 0.6398
Ni: 0.0377 0.1691 0.7365
Ni: 0.0377 0.3309 0.2365
Ni: 0.9623 0.6691 0.7635
Ni: 0.9623 0.8309 0.2635
P: 0.2675 0.6805 0.5364
P: 0.2675 0.8195 0.0364
P: 0.4725 0.5323 0.7753
P: 0.4725 0.9677 0.2753
P: 0.5275 0.0323 0.7247
P: 0.5275 0.4677 0.2247
P: 0.7325 0.1805 0.9636
P: 0.7325 0.3195 0.4636
O: 0.0338 0.6890 0.3570
O: 0.0338 0.8110 0.8570
O: 0.1517 0.7293 0.6393
O: 0.1517 0.7707 0.1393
O: 0.2169 0.5423 0.8150
O: 0.2169 0.9577 0.3150
O: 0.2632 0.1087 0.6296
O: 0.2632 0.3913 0.1296
O: 0.3177 0.5626 0.5834
O: 0.3177 0.9374 0.0834
O: 0.3947 0.5713 0.2051
O: 0.3947 0.9287 0.7051
O: 0.4224 0.2235 0.9229
O: 0.4224 0.2765 0.4229
O: 0.5776 0.7235 0.5771
O: 0.5776 0.7765 0.0771
O: 0.6053 0.0713 0.2949
O: 0.6053 0.4287 0.7949
O: 0.6823 0.0626 0.9166
O: 0.6823 0.4374 0.4166
O: 0.7368 0.6087 0.8704
O: 0.7368 0.8913 0.3704
O: 0.7831 0.0423 0.6850
O: 0.7831 0.4577 0.1850
O: 0.8483 0.2293 0.8607
O: 0.8483 0.2707 0.3607
O: 0.9662 0.1890 0.1430
O: 0.9662 0.3110 0.6430

**ΔE_f**: -2245 meV per atom
**Space group**: P2_1/c
**Distance to the lowest polymorph of the same formula**: 53 meV/atom
**Size of the total moment**: 12.00 Bohr magnetons per cell
**Total DFT energy (no corrections)**: -0.236 Ha/atom

=====

(6)
## Li3NiP2O8 (PBE+U)

Data for Li3NiP2O8 after structural relaxation.

a = 8.1733 Å, b = 10.3901 Å, c = 8.2770 Å
α = 90.00°, β = 105.40°, γ = 90.00°
Element x y z (fractional)
Li: 0.0457 0.0000 0.0344
Li: 0.1051 0.7435 0.8392
Li: 0.1095 0.9133 0.3487
Li: 0.1446 0.4245 0.4182
Li: 0.1519 0.2351 0.9116
Li: 0.3372 0.7227 0.5933
Li: 0.6628 0.2227 0.4067
Li: 0.8481 0.7351 0.0884
Li: 0.8554 0.9245 0.5818
Li: 0.8905 0.4133 0.6513
Li: 0.8949 0.2435 0.1608
Li: 0.9543 0.5000 0.9656
Ni: 0.4039 0.2381 0.6708
Ni: 0.4074 0.4179 0.1679
Ni: 0.5926 0.9179 0.8321
Ni: 0.5961 0.7381 0.3292
P: 0.2089 0.9859 0.7194
P: 0.2210 0.6645 0.2161
P: 0.2661 0.1784 0.2947
P: 0.2680 0.4813 0.7984
P: 0.7320 0.9813 0.2016
P: 0.7339 0.6784 0.7053
P: 0.7790 0.1645 0.7839
P: 0.7911 0.4859 0.2806
O: 0.0709 0.6731 0.0569
O: 0.0742 0.9743 0.5532
O: 0.1113 0.4179 0.8372
O: 0.1189 0.2530 0.3292
O: 0.1504 0.9337 0.8667
O: 0.1855 0.7314 0.3667
O: 0.2259 0.0396 0.2419
O: 0.2453 0.6219 0.7476
O: 0.2581 0.5160 0.2587
O: 0.2628 0.1316 0.7594
O: 0.3117 0.4055 0.6476
O: 0.3227 0.2470 0.1449
O: 0.3687 0.9081 0.6958
O: 0.3839 0.7202 0.1754
O: 0.4234 0.4612 0.9549
O: 0.4268 0.1914 0.4527
O: 0.5732 0.6914 0.5473
O: 0.5766 0.9612 0.0451
O: 0.6161 0.2202 0.8246
O: 0.6313 0.4081 0.3042
O: 0.6773 0.7470 0.8551
O: 0.6883 0.9055 0.3524
O: 0.7372 0.6316 0.2406
O: 0.7419 0.0160 0.7413
O: 0.7547 0.1219 0.2524
O: 0.7741 0.5396 0.7581
O: 0.8145 0.2314 0.6333
O: 0.8496 0.4337 0.1333
O: 0.8811 0.7530 0.6708
O: 0.8887 0.9179 0.1628
O: 0.9258 0.4743 0.4468
O: 0.9291 0.1731 0.9431

**ΔE_f**: -2383 meV per atom
**Space group**: P2_1
**Distance to the lowest polymorph of the same formula**: 13 meV/atom
**Size of the total moment**: 12.00 Bohr magnetons per cell
**Total DFT energy (no corrections)**: -0.229 Ha/atom